[1]
KLiNb4O12: optimized geometry, GGA-PBE.

Values from the calculation:
The formation energy from the elements comes out at -2.655 eV per atom.

Lattice parameters (Å, degrees): 5.663 5.663 8.013 90.00 90.00 90.00
Positions (direct):
K 0.000 0.000 0.000
Li 0.500 0.500 0.500
Nb 0.000 0.500 0.252
Nb 0.000 0.500 0.748
Nb 0.500 0.000 0.252
Nb 0.500 0.000 0.748
O 0.000 0.500 0.000
O 0.000 0.500 0.500
O 0.253 0.253 0.254
O 0.253 0.253 0.746
O 0.253 0.747 0.254
O 0.253 0.747 0.746
O 0.500 0.000 0.000
O 0.500 0.000 0.500
O 0.747 0.253 0.254
O 0.747 0.253 0.746
O 0.747 0.747 0.254
O 0.747 0.747 0.746

[2]
K3Li2Nb5O15: optimized geometry, GGA-PBE.

Values from the calculation:
The piezoelectric modulus e_max is 3.7 C/m². The formation energy from the elements comes out at -2.866 eV per atom.

Lattice parameters (Å, degrees): 12.744 12.744 4.172 90.00 90.00 90.00
Positions (direct):
K 0.000 0.000 0.000
K 0.172 0.328 0.004
K 0.328 0.828 0.004
K 0.500 0.500 0.000
K 0.672 0.172 0.004
K 0.828 0.672 0.004
Li 0.124 0.624 0.054
Li 0.376 0.124 0.054
Li 0.624 0.876 0.054
Li 0.876 0.376 0.054
Nb 0.000 0.500 0.515
Nb 0.076 0.792 0.520
Nb 0.208 0.076 0.520
Nb 0.292 0.576 0.520
Nb 0.424 0.292 0.520
Nb 0.500 0.000 0.515
Nb 0.576 0.708 0.520
Nb 0.708 0.424 0.520
Nb 0.792 0.924 0.520
Nb 0.924 0.208 0.520
O 0.000 0.500 0.964
O 0.003 0.654 0.448
O 0.068 0.141 0.473
O 0.080 0.784 0.965
O 0.141 0.932 0.473
O 0.154 0.503 0.448
O 0.211 0.711 0.458
O 0.216 0.080 0.965
O 0.284 0.580 0.965
O 0.289 0.211 0.458
O 0.346 0.003 0.448
O 0.359 0.432 0.473
O 0.420 0.284 0.965
O 0.432 0.641 0.473
O 0.497 0.154 0.448
O 0.500 0.000 0.964
O 0.503 0.846 0.448
O 0.568 0.359 0.473
O 0.580 0.716 0.965
O 0.641 0.568 0.473
O 0.654 0.997 0.448
O 0.711 0.789 0.458
O 0.716 0.420 0.965
O 0.784 0.920 0.965
O 0.789 0.289 0.458
O 0.846 0.497 0.448
O 0.859 0.068 0.473
O 0.920 0.216 0.965
O 0.932 0.859 0.473
O 0.997 0.346 0.448

[3]
K3Li2Nb6P3O24: optimized geometry, GGA-PBE.

Values from the calculation:
The formation energy from the elements comes out at -2.859 eV per atom.

Lattice parameters (Å, degrees): 8.520 8.520 8.520 103.23 103.23 103.23
Positions (direct):
K 0.010 0.695 0.295
K 0.295 0.010 0.695
K 0.695 0.295 0.010
Li 0.240 0.240 0.240
Li 0.973 0.973 0.973
Nb 0.260 0.451 0.581
Nb 0.451 0.581 0.260
Nb 0.581 0.260 0.451
Nb 0.630 0.761 0.952
Nb 0.761 0.952 0.630
Nb 0.952 0.631 0.761
P 0.107 0.324 0.891
P 0.324 0.891 0.107
P 0.891 0.107 0.324
O 0.023 0.469 0.904
O 0.060 0.243 0.358
O 0.107 0.583 0.632
O 0.155 0.859 0.970
O 0.188 0.310 0.744
O 0.243 0.358 0.060
O 0.291 0.537 0.398
O 0.310 0.744 0.188
O 0.358 0.060 0.243
O 0.398 0.291 0.537
O 0.454 0.607 0.760
O 0.469 0.904 0.023
O 0.537 0.398 0.291
O 0.583 0.632 0.107
O 0.607 0.760 0.454
O 0.632 0.107 0.583
O 0.677 0.924 0.816
O 0.744 0.188 0.310
O 0.760 0.454 0.607
O 0.816 0.677 0.924
O 0.859 0.970 0.155
O 0.904 0.023 0.469
O 0.924 0.816 0.677
O 0.970 0.155 0.859